Material: PrMg16Al12
Method: DFT, PBE-GGA
State: optimized geometry

Total energy = -0.098 Ha/atom
Magnetization = 0.0 μB/f.u.
Formation enthalpy at 0 K = -1.97 eV/f.u.
Crystal system = cubic
Calculated density = 2.384 g/cm³

```
data_PrMg16Al12
_chemical_formula_sum 'Pr2 Mg32 Al24'
_space_group_name_H-M_alt 'I -4 3 m'
_space_group_IT_number 217
_space_group_name_Hall 'I -4 2 3'
_cell_length_a 10.5939
_cell_length_b 10.5939
_cell_length_c 10.5939
_cell_angle_alpha 90.00
_cell_angle_beta 90.00
_cell_angle_gamma 90.00
loop_
_atom_site_label
_atom_site_fract_x
_atom_site_fract_y
_atom_site_fract_z
Pr1 0.0000 0.0000 0.0000
Mg1 0.0392 0.3585 0.6415
Mg2 0.1812 0.1812 0.1812
Al1 0.0922 0.0922 0.7207
```



Material: Ba3W2N4
Method: DFT, PBE-GGA
State: optimized geometry

Total energy = -0.282 Ha/atom
Magnetization = 0.0 μB/f.u.
Formation enthalpy at 0 K = -5.51 eV/f.u.
Crystal system = monoclinic
Calculated density = 7.494 g/cm³
E (MP2020) = -7.836 eV/atom

```
data_Ba3W2N4
_chemical_formula_sum 'Ba12 W8 N16'
_space_group_name_H-M_alt 'C 1 2/c 1'
_space_group_IT_number 15
_space_group_name_Hall '-C 2yc'
_cell_length_a 11.1431
_cell_length_b 10.8163
_cell_length_c 6.1474
_cell_angle_alpha 90.00
_cell_angle_beta 91.37
_cell_angle_gamma 90.00
loop_
_atom_site_label
_atom_site_fract_x
_atom_site_fract_y
_atom_site_fract_z
Ba1 0.0000 0.0548 0.2500
Ba2 0.0971 0.3413 0.5061
W1 0.2441 0.3841 0.0171
N1 0.1343 0.2399 0.0866
N2 0.2404 0.4948 0.2755
```



Material: KErP2O7
Method: DFT, PBE-GGA
State: optimized geometry

Total energy = -0.270 Ha/atom
Magnetization = 0.0 μB/f.u.
Formation enthalpy at 0 K = -34.63 eV/f.u.
Crystal system = monoclinic
Calculated density = 3.509 g/cm³
E (MP2020) = -7.798 eV/atom

```
data_KErP2O7
_chemical_formula_sum 'K4 Er4 P8 O28'
_space_group_name_H-M_alt 'P 1 21/c 1'
_space_group_IT_number 14
_space_group_name_Hall '-P 2ybc'
_cell_length_a 7.8007
_cell_length_b 10.9718
_cell_length_c 8.7616
_cell_angle_alpha 90.00
_cell_angle_beta 106.26
_cell_angle_gamma 90.00
loop_
_atom_site_label
_atom_site_fract_x
_atom_site_fract_y
_atom_site_fract_z
K1 0.1779 0.1803 0.0572
Er1 0.2375 0.6001 0.2581
P1 0.1312 0.5977 0.8227
P2 0.4353 0.6335 0.6935
O1 0.0054 0.5014 0.7240
O2 0.0784 0.7262 0.7553
O3 0.1483 0.5907 0.9989
O4 0.3282 0.5642 0.8035
O5 0.3279 0.6086 0.5217
O6 0.3799 0.0748 0.7640
O7 0.4507 0.7317 0.2418
```



Material: Ba2TlCuHgO5
Method: DFT, PBE-GGA
State: optimized geometry

Total energy = -0.180 Ha/atom
Magnetization = 0.3 μB/f.u.
Formation enthalpy at 0 K = -17.15 eV/f.u.
Crystal system = tetragonal
Calculated density = 7.432 g/cm³
E (MP2020) = -5.250 eV/atom

```
data_Ba2TlCuHgO5
_chemical_formula_sum 'Ba4 Tl2 Cu2 Hg2 O10'
_space_group_name_H-M_alt 'I 4 m m'
_space_group_IT_number 107
_space_group_name_Hall 'I 4 -2'
_cell_length_a 3.9105
_cell_length_b 3.9105
_cell_length_c 24.0548
_cell_angle_alpha 90.00
_cell_angle_beta 90.00
_cell_angle_gamma 90.00
loop_
_atom_site_label
_atom_site_fract_x
_atom_site_fract_y
_atom_site_fract_z
Ba1 0.0000 0.0000 0.0000
Ba2 0.0000 0.0000 0.1659
Tl1 0.0000 0.0000 0.7817
Cu1 0.0000 0.0000 0.5869
Hg1 0.0000 0.0000 0.3764
O1 0.0000 0.0000 0.2915
O2 0.0000 0.0000 0.4599
O3 0.0000 0.0000 0.6896
O4 0.0000 0.5000 0.0793
```



Material: Cs2NaTiF6
Method: DFT, PBE-GGA
State: optimized geometry

Total energy = -0.194 Ha/atom
Magnetization = 1.0 μB/f.u.
Formation enthalpy at 0 K = -32.97 eV/f.u.
Crystal system = trigonal
Calculated density = 4.049 g/cm³
E (MP2020) = -5.547 eV/atom

```
data_Cs2NaTiF6
_chemical_formula_sum 'Cs12 Na6 Ti6 F36'
_space_group_name_H-M_alt 'R -3 m'
_space_group_IT_number 166
_space_group_name_Hall '-R 3 2"'
_cell_length_a 6.3868
_cell_length_b 6.3868
_cell_length_c 31.3884
_cell_angle_alpha 90.00
_cell_angle_beta 90.00
_cell_angle_gamma 120.00
loop_
_atom_site_label
_atom_site_fract_x
_atom_site_fract_y
_atom_site_fract_z
Cs1 0.0000 0.0000 0.1280
Cs2 0.0000 0.0000 0.2816
Na1 0.0000 0.0000 0.4028
Ti1 0.0000 0.0000 0.0000
Ti2 0.0000 0.0000 0.5000
F1 0.0359 0.5179 0.7035
F2 0.0469 0.5234 0.1279
```



Material: SiBr4
Method: DFT, PBE-GGA
State: optimized geometry

Total energy = -0.119 Ha/atom
Formation enthalpy at 0 K = -6.30 eV/f.u.
Crystal system = monoclinic
Calculated density = 2.523 g/cm³
E (MP2020) = -3.655 eV/atom

```
data_SiBr4
_chemical_formula_sum 'Si4 Br16'
_space_group_name_H-M_alt 'P 1 21/c 1'
_space_group_IT_number 14
_space_group_name_Hall '-P 2ybc'
_cell_length_a 11.2315
_cell_length_b 7.3402
_cell_length_c 11.3811
_cell_angle_alpha 90.00
_cell_angle_beta 102.72
_cell_angle_gamma 90.00
loop_
_atom_site_label
_atom_site_fract_x
_atom_site_fract_y
_atom_site_fract_z
Si1 0.2481 0.0781 0.1415
Br1 0.0931 0.5586 0.6962
Br2 0.1961 0.1374 0.5892
Br3 0.2938 0.5673 0.4869
Br4 0.4088 0.0762 0.2942
```



Among the records above, which one has the highest calculated density? Ba3W2N4